Computed, not measured: crystalline Ba5Lu2ZrAl2O13 at its relaxed geometry at the PBE level of DFT.

a = 5.975 Å, b = 5.975 Å, c = 24.921 Å
α = 90.00°, β = 90.00°, γ = 120.00°
Fractional positions:
Ba: 0.000 0.000 0.139
Ba: 0.000 0.000 0.361
Ba: 0.000 0.000 0.639
Ba: 0.000 0.000 0.861
Ba: 0.333 0.667 0.043
Ba: 0.333 0.667 0.457
Ba: 0.333 0.667 0.750
Ba: 0.667 0.333 0.250
Ba: 0.667 0.333 0.543
Ba: 0.667 0.333 0.957
Lu: 0.333 0.667 0.604
Lu: 0.333 0.667 0.896
Lu: 0.667 0.333 0.104
Lu: 0.667 0.333 0.396
Zr: 0.000 0.000 0.000
Zr: 0.000 0.000 0.500
Al: 0.333 0.667 0.180
Al: 0.333 0.667 0.320
Al: 0.667 0.333 0.680
Al: 0.667 0.333 0.820
O: 0.008 0.504 0.158
O: 0.008 0.504 0.342
O: 0.164 0.327 0.551
O: 0.164 0.327 0.949
O: 0.164 0.836 0.551
O: 0.164 0.836 0.949
O: 0.327 0.164 0.051
O: 0.327 0.164 0.449
O: 0.333 0.667 0.250
O: 0.496 0.504 0.158
O: 0.496 0.504 0.342
O: 0.496 0.992 0.158
O: 0.496 0.992 0.342
O: 0.504 0.008 0.658
O: 0.504 0.008 0.842
O: 0.504 0.496 0.658
O: 0.504 0.496 0.842
O: 0.667 0.333 0.750
O: 0.673 0.836 0.551
O: 0.673 0.836 0.949
O: 0.836 0.164 0.051
O: 0.836 0.164 0.449
O: 0.836 0.673 0.051
O: 0.836 0.673 0.449
O: 0.992 0.496 0.658
O: 0.992 0.496 0.842

## Properties
For the calculated total energy, the calculation gives -341.93 eV/cell. Its crystal system is hexagonal. The space group is P6_3/mmc. As for the formation energy: -80.9 eV per formula unit.

Computed, not measured: crystalline BaMg14Al at its relaxed geometry at the PBE level of DFT.

a = 6.562 Å, b = 6.562 Å, c = 10.622 Å
α = 90.00°, β = 90.00°, γ = 120.00°
Fractional positions:
Ba: 0.000 0.000 0.000
Mg: 0.013 0.506 0.000
Mg: 0.170 0.340 0.267
Mg: 0.170 0.340 0.733
Mg: 0.170 0.830 0.267
Mg: 0.170 0.830 0.733
Mg: 0.494 0.506 0.000
Mg: 0.494 0.987 0.000
Mg: 0.503 0.006 0.500
Mg: 0.503 0.497 0.500
Mg: 0.660 0.830 0.267
Mg: 0.660 0.830 0.733
Mg: 0.667 0.333 0.244
Mg: 0.667 0.333 0.756
Mg: 0.994 0.497 0.500
Al: 0.000 0.000 0.500

## Properties
For the calculated total energy, the calculation gives -26.79 eV/cell. Its energy relative to the lowest polymorph listed for this composition is 0.29 eV/f.u. Its crystal system is hexagonal. The space group is P-6m2. As for the formation energy: 1.3 eV per formula unit.

Computed, not measured: crystalline BaMg14Al at its relaxed geometry at the PBE level of DFT.

a = 10.470 Å, b = 6.632 Å, c = 6.632 Å
α = 59.55°, β = 90.00°, γ = 90.00°
Fractional positions:
Ba: 0.000 0.000 0.000
Mg: 0.000 0.013 0.493
Mg: 0.000 0.493 0.013
Mg: 0.238 0.659 0.659
Mg: 0.261 0.171 0.649
Mg: 0.261 0.649 0.171
Mg: 0.266 0.169 0.169
Mg: 0.500 0.498 0.498
Mg: 0.500 0.500 0.990
Mg: 0.500 0.990 0.500
Mg: 0.500 0.995 0.995
Mg: 0.734 0.169 0.169
Mg: 0.739 0.171 0.649
Mg: 0.739 0.649 0.171
Mg: 0.762 0.659 0.659
Al: 0.000 0.476 0.476

## Properties
For the calculated total energy, the calculation gives -27.08 eV/cell. Its energy relative to the lowest polymorph listed for this composition is 0.00 eV/f.u. Its crystal system is orthorhombic. The space group is Amm2. As for the formation energy: 1.0 eV per formula unit.

Computed, not measured: crystalline BaAlSi4N5O3 at its relaxed geometry at the PBE level of DFT.

a = 7.474 Å, b = 7.474 Å, c = 9.457 Å
α = 90.00°, β = 90.00°, γ = 135.43°
Fractional positions:
Ba: 0.025 0.975 0.500
Ba: 0.975 0.025 0.000
Al: 0.471 0.529 0.230
Al: 0.529 0.471 0.730
Si: 0.079 0.424 0.720
Si: 0.289 0.711 0.442
Si: 0.298 0.702 0.000
Si: 0.424 0.079 0.220
Si: 0.576 0.921 0.720
Si: 0.702 0.298 0.500
Si: 0.711 0.289 0.942
Si: 0.921 0.576 0.220
N: 0.025 0.472 0.889
N: 0.201 0.799 0.124
N: 0.291 0.709 0.627
N: 0.409 0.591 0.066
N: 0.472 0.025 0.389
N: 0.528 0.975 0.889
N: 0.591 0.409 0.566
N: 0.709 0.291 0.127
N: 0.799 0.201 0.624
N: 0.975 0.528 0.389
O: 0.199 0.305 0.739
O: 0.305 0.199 0.239
O: 0.399 0.601 0.384
O: 0.601 0.399 0.884
O: 0.695 0.801 0.739
O: 0.801 0.695 0.239

## Properties
For the calculated total energy, the calculation gives -218.00 eV/cell. Its crystal system is orthorhombic. The space group is Cmc2_1. As for the formation energy: -27.2 eV per formula unit.